First-principles (PBE-GGA) data for crystalline KLaInSbO6 at its relaxed geometry, as listed in the Materials Project database.

Computed properties:
E (MP2020)   -6.63 eV/atom
V   139 Å³ per cell
ΔE_f   -2.37 eV per atom
Size of the total moment   0.00 μB/f.u.

abc: 5.814 5.814 5.814
angles: 60.00 60.00 60.00
Sites, in units of the cell vectors:
O1 0.259 0.259 0.741
O2 0.259 0.741 0.259
O3 0.741 0.259 0.259
K1 0.750 0.750 0.750
O4 0.741 0.741 0.259
Sb1 0.500 0.500 0.500
O5 0.259 0.741 0.741
La1 0.250 0.250 0.250
In1 0.000 0.000 0.000
O6 0.741 0.259 0.741

=====

First-principles (PBE-GGA) data for crystalline K3Mg20In14 at its relaxed geometry, as listed in the Materials Project database.

Computed properties:
V   959 Å³ per cell
ΔE_f   -0.09 eV per atom
Size of the total moment   1.18 μB/f.u.

abc: 9.862 9.862 9.862
angles: 90.00 90.00 90.00
Sites, in units of the cell vectors:
Mg1 0.500 0.735 0.265
In1 0.651 0.000 0.651
Mg2 0.175 0.825 0.175
In2 0.000 0.000 0.000
K1 0.500 0.000 0.000
Mg3 0.265 0.265 0.500
In3 0.000 0.349 0.651
Mg4 0.735 0.735 0.500
Mg5 0.735 0.500 0.735
Mg6 0.175 0.175 0.825
In4 0.349 0.000 0.349
Mg7 0.825 0.825 0.175
In5 0.000 0.651 0.651
In6 0.349 0.000 0.651
In7 0.651 0.651 0.000
Mg8 0.500 0.265 0.735
Mg9 0.265 0.500 0.265
In8 0.349 0.651 0.000
Mg10 0.175 0.175 0.175
Mg11 0.825 0.825 0.825
Mg12 0.825 0.175 0.175
K2 0.000 0.000 0.500
Mg13 0.265 0.500 0.735
Mg14 0.500 0.735 0.735
In9 0.500 0.500 0.500
In10 0.000 0.349 0.349
Mg15 0.735 0.265 0.500
Mg16 0.265 0.735 0.500
In11 0.651 0.000 0.349
In12 0.349 0.349 0.000
Mg17 0.735 0.500 0.265
Mg18 0.500 0.265 0.265
In13 0.651 0.349 0.000
K3 0.000 0.500 0.000
In14 0.000 0.651 0.349
Mg19 0.175 0.825 0.825
Mg20 0.825 0.175 0.825

=====

First-principles (PBE-GGA) data for crystalline KInMo6Se6 at its relaxed geometry, as listed in the Materials Project database.

Computed properties:
E (MP2020)   -7.16 eV/atom
V   361 Å³ per cell
ΔE_f   -0.74 eV per atom
Size of the total moment   0.00 μB/f.u.

abc: 9.598 9.598 4.522
angles: 90.00 90.00 120.00
Sites, in units of the cell vectors:
Mo1 0.497 0.675 0.000
Se1 0.656 0.677 0.500
K1 0.000 0.000 0.500
Se2 0.323 0.980 0.500
Mo2 0.490 0.831 0.500
Mo3 0.169 0.660 0.500
Mo4 0.340 0.510 0.500
Se3 0.008 0.651 0.000
Mo5 0.325 0.822 0.000
Se4 0.020 0.344 0.500
Mo6 0.178 0.503 0.000
In1 0.667 0.333 0.000
Se5 0.643 0.992 0.000
Se6 0.349 0.357 0.000

=====

First-principles (PBE-GGA) data for crystalline KInN at its relaxed geometry, as listed in the Materials Project database.

Computed properties:
E (MP2020)   -3.95 eV/atom
Relative energy among the computed polymorphs   0.0000 eV/atom
V   69 Å³ per cell
ΔE_f   0.12 eV per atom
Size of the total moment   0.80 μB/f.u.

abc: 3.612 3.615 6.083
angles: 90.00 89.71 59.97
Sites, in units of the cell vectors:
In1 0.337 0.332 0.501
N1 0.672 0.664 0.361
K1 0.010 0.995 0.047

=====

First-principles (PBE-GGA) data for crystalline KInN at its relaxed geometry, as listed in the Materials Project database.

Computed properties:
E (MP2020)   -3.78 eV/atom
Relative energy among the computed polymorphs   0.1653 eV/atom
V   81 Å³ per cell
ΔE_f   0.29 eV per atom
Size of the total moment   0.00 μB/f.u.

abc: 4.224 4.390 4.390
angles: 89.97 89.48 90.52
Sites, in units of the cell vectors:
N1 0.765 0.241 0.259
In1 0.265 0.241 0.259
K1 0.765 0.741 0.759

=====

First-principles (PBE-GGA) data for crystalline K3Na26In48 at its relaxed geometry, as listed in the Materials Project database.

Computed properties:
V   4426 Å³ per cell
ΔE_f   -0.15 eV per atom
Size of the total moment   0.00 μB/f.u.

abc: 16.418 16.418 16.418
angles: 90.00 90.00 90.00
Sites, in units of the cell vectors:
In1 0.095 0.670 0.333
In2 0.330 0.667 0.095
Na1 0.500 0.250 0.000
In3 0.500 0.337 0.181
In4 0.330 0.333 0.905
In5 0.846 0.093 0.000
In6 0.500 0.593 0.654
In7 0.593 0.346 0.500
In8 0.333 0.905 0.330
In9 0.405 0.833 0.830
In10 0.095 0.670 0.667
In11 0.154 0.907 0.000
Na2 0.136 0.296 0.000
Na3 0.000 0.136 0.704
Na4 0.811 0.189 0.189
In12 0.337 0.181 0.500
In13 0.833 0.170 0.405
In14 0.095 0.330 0.667
In15 0.681 0.163 0.000
In16 0.330 0.333 0.095
In17 0.500 0.337 0.819
In18 0.833 0.830 0.405
In19 0.667 0.095 0.330
K1 0.000 0.000 0.500
Na5 0.189 0.811 0.811
Na6 0.500 0.750 0.000
In20 0.337 0.819 0.500
In21 0.837 0.000 0.319
Na7 0.811 0.811 0.811
Na8 0.864 0.296 0.000
Na9 0.500 0.796 0.364
Na10 0.296 0.000 0.864
Na11 0.189 0.811 0.189
In22 0.000 0.846 0.907
Na12 0.250 0.500 0.000
In23 0.846 0.907 0.000
In24 0.170 0.405 0.167
Na13 0.000 0.864 0.296
In25 0.830 0.405 0.167
In26 0.330 0.667 0.905
Na14 0.311 0.689 0.689
In27 0.905 0.330 0.667
Na15 0.500 0.204 0.636
In28 0.670 0.333 0.095
In29 0.333 0.095 0.330
In30 0.181 0.500 0.663
In31 0.163 0.000 0.319
In32 0.167 0.170 0.405
In33 0.667 0.095 0.670
In34 0.681 0.837 0.000
Na16 0.364 0.500 0.204
K2 0.500 0.000 0.500
In35 0.905 0.670 0.667
Na17 0.689 0.311 0.689
In36 0.670 0.333 0.905
In37 0.000 0.319 0.837
In38 0.833 0.830 0.595
Na18 0.500 0.204 0.364
In39 0.000 0.846 0.093
In40 0.405 0.167 0.830
In41 0.167 0.170 0.595
In42 0.905 0.670 0.333
Na19 0.000 0.750 0.500
In43 0.500 0.407 0.654
In44 0.830 0.595 0.167
In45 0.170 0.595 0.833
Na20 0.296 0.000 0.136
In46 0.663 0.181 0.500
In47 0.000 0.154 0.907
In48 0.670 0.667 0.095
Na21 0.136 0.704 0.000
In49 0.405 0.833 0.170
In50 0.500 0.663 0.819
In51 0.163 0.000 0.681
In52 0.181 0.500 0.337
Na22 0.811 0.189 0.811
In53 0.000 0.154 0.093
In54 0.500 0.663 0.181
In55 0.346 0.500 0.407
In56 0.819 0.500 0.663
Na23 0.500 0.000 0.750
Na24 0.811 0.811 0.189
K3 0.500 0.000 0.000
In57 0.907 0.000 0.154
In58 0.667 0.905 0.330
In59 0.000 0.681 0.163
In60 0.000 0.319 0.163
In61 0.167 0.830 0.405
Na25 0.750 0.000 0.500
In62 0.830 0.405 0.833
In63 0.333 0.095 0.670
Na26 0.364 0.500 0.796
In64 0.000 0.681 0.837
K4 0.500 0.500 0.000
Na27 0.689 0.689 0.689
In65 0.154 0.093 0.000
In66 0.819 0.500 0.337
In67 0.405 0.167 0.170
In68 0.907 0.000 0.846
Na28 0.636 0.500 0.204
Na29 0.000 0.864 0.704
In69 0.500 0.593 0.346
Na30 0.704 0.000 0.136
In70 0.093 0.000 0.154
In71 0.830 0.595 0.833
Na31 0.311 0.311 0.311
In72 0.593 0.654 0.500
K5 0.000 0.500 0.000
In73 0.595 0.833 0.170
Na32 0.796 0.364 0.500
In74 0.407 0.654 0.500
In75 0.670 0.667 0.905
In76 0.837 0.000 0.681
In77 0.170 0.595 0.167
In78 0.833 0.170 0.595
In79 0.095 0.330 0.333
In80 0.663 0.819 0.500
Na33 0.704 0.000 0.864
Na34 0.189 0.189 0.189
In81 0.500 0.407 0.346
Na35 0.250 0.000 0.500
In82 0.333 0.905 0.670
Na36 0.500 0.000 0.250
Na37 0.796 0.636 0.500
Na38 0.000 0.500 0.250
In83 0.170 0.405 0.833
Na39 0.000 0.500 0.750
In84 0.654 0.500 0.593
In85 0.595 0.167 0.170
In86 0.667 0.905 0.670
K6 0.000 0.500 0.500
In87 0.654 0.500 0.407
Na40 0.500 0.796 0.636
In88 0.595 0.167 0.830
In89 0.346 0.500 0.593
Na41 0.689 0.311 0.311
In90 0.319 0.163 0.000
Na42 0.311 0.311 0.689
Na43 0.689 0.689 0.311
Na44 0.000 0.136 0.296
Na45 0.000 0.250 0.500
In91 0.905 0.330 0.333
Na46 0.204 0.364 0.500
Na47 0.311 0.689 0.311
Na48 0.189 0.189 0.811
In92 0.319 0.837 0.000
Na49 0.204 0.636 0.500
In93 0.595 0.833 0.830
Na50 0.864 0.704 0.000
Na51 0.750 0.500 0.000
In94 0.407 0.346 0.500
In95 0.093 0.000 0.846
Na52 0.636 0.500 0.796
In96 0.167 0.830 0.595

=====

First-principles (PBE-GGA) data for crystalline KNa9In2O8 at its relaxed geometry, as listed in the Materials Project database.

Computed properties:
E (MP2020)   -4.57 eV/atom
V   1235 Å³ per cell
ΔE_f   -1.66 eV per atom
Size of the total moment   0.00 μB/f.u.

abc: 7.366 9.200 18.224
angles: 90.00 90.00 90.00
Sites, in units of the cell vectors:
Na1 0.004 0.401 0.618
In1 0.250 0.284 0.284
O1 0.250 0.541 0.585
O2 0.250 0.413 0.842
O3 0.750 0.041 0.915
Na2 0.250 0.153 0.614
O4 0.017 0.217 0.717
K1 0.750 0.859 0.032
O5 0.523 0.201 0.532
K2 0.250 0.141 0.968
Na3 0.042 0.549 0.225
Na4 0.750 0.176 0.647
O6 0.750 0.510 0.667
In2 0.750 0.257 0.467
O7 0.250 0.010 0.833
O8 0.977 0.299 0.032
Na5 0.496 0.099 0.118
Na6 0.463 0.045 0.429
Na7 0.504 0.599 0.382
Na8 0.963 0.545 0.071
Na9 0.537 0.545 0.071
O9 0.483 0.217 0.717
O10 0.250 0.604 0.123
O11 0.250 0.959 0.085
O12 0.750 0.459 0.415
In3 0.250 0.743 0.533
O13 0.517 0.717 0.783
In4 0.250 0.757 0.033
Na10 0.958 0.049 0.275
Na11 0.504 0.901 0.882
O14 0.750 0.104 0.377
Na12 0.996 0.901 0.882
Na13 0.542 0.451 0.775
O15 0.017 0.283 0.217
Na14 0.996 0.599 0.382
O16 0.477 0.701 0.968
K3 0.250 0.359 0.468
Na15 0.750 0.847 0.386
Na16 0.250 0.824 0.353
Na17 0.250 0.677 0.697
O17 0.983 0.783 0.283
Na18 0.750 0.324 0.147
Na19 0.750 0.653 0.886
O18 0.023 0.701 0.968
Na20 0.963 0.955 0.571
O19 0.983 0.717 0.783
Na21 0.463 0.455 0.929
Na22 0.037 0.045 0.429
O20 0.750 0.990 0.167
Na23 0.458 0.549 0.225
Na24 0.004 0.099 0.118
In5 0.750 0.784 0.216
In6 0.750 0.243 0.967
O21 0.483 0.283 0.217
Na25 0.042 0.951 0.725
Na26 0.542 0.049 0.275
O22 0.477 0.799 0.468
In7 0.750 0.716 0.716
Na27 0.750 0.323 0.303
K4 0.750 0.641 0.532
O23 0.517 0.783 0.283
In8 0.250 0.216 0.784
O24 0.523 0.299 0.032
O25 0.977 0.201 0.532
Na28 0.037 0.455 0.929
Na29 0.250 0.676 0.853
O26 0.250 0.896 0.623
O27 0.750 0.913 0.658
Na30 0.250 0.347 0.114
Na31 0.537 0.955 0.571
O28 0.750 0.587 0.158
O29 0.023 0.799 0.468
Na32 0.250 0.823 0.197
Na33 0.958 0.451 0.775
O30 0.250 0.087 0.342
Na34 0.496 0.401 0.618
O31 0.750 0.396 0.877
Na35 0.750 0.177 0.803
Na36 0.458 0.951 0.725
O32 0.250 0.490 0.333

=====

First-principles (PBE-GGA) data for crystalline K3Na2InO4 at its relaxed geometry, as listed in the Materials Project database.

Computed properties:
E (MP2020)   -4.49 eV/atom
V   742 Å³ per cell
ΔE_f   -1.64 eV per atom
Size of the total moment   0.00 μB/f.u.

abc: 9.816 7.352 12.550
angles: 54.99 90.00 90.00
Sites, in units of the cell vectors:
K1 0.745 0.559 0.338
K2 0.507 0.782 0.982
O1 0.213 0.570 0.417
In1 0.634 0.205 0.271
O2 0.918 0.909 0.790
K3 0.007 0.218 0.518
Na1 0.568 0.315 0.725
Na2 0.835 0.748 0.008
O3 0.206 0.895 0.592
K4 0.662 0.071 0.602
Na3 0.432 0.685 0.275
Na4 0.932 0.315 0.225
K5 0.255 0.441 0.662
Na5 0.665 0.748 0.508
O4 0.787 0.430 0.583
O5 0.418 0.091 0.710
O6 0.713 0.430 0.083
In2 0.134 0.795 0.229
O7 0.524 0.660 0.682
Na6 0.335 0.252 0.492
K6 0.838 0.071 0.102
O8 0.582 0.909 0.290
K7 0.755 0.559 0.838
O9 0.794 0.105 0.408
O10 0.287 0.570 0.917
Na7 0.165 0.252 0.992
K8 0.493 0.218 0.018
K9 0.245 0.441 0.162
O11 0.476 0.340 0.318
K10 0.338 0.929 0.398
O12 0.082 0.091 0.210
O13 0.024 0.340 0.818
In3 0.866 0.205 0.771
In4 0.366 0.795 0.729
O14 0.976 0.660 0.182
O15 0.294 0.895 0.092
O16 0.706 0.105 0.908
K11 0.162 0.929 0.898
K12 0.993 0.782 0.482
Na8 0.068 0.685 0.775

=====

First-principles (PBE-GGA) data for crystalline K2NaInP2 at its relaxed geometry, as listed in the Materials Project database.

Computed properties:
V   336 Å³ per cell
ΔE_f   -0.42 eV per atom
Size of the total moment   0.00 μB/f.u.

abc: 8.885 8.885 8.885
angles: 135.82 135.75 64.31
Sites, in units of the cell vectors:
Na1 0.250 0.000 0.250
P1 0.401 0.186 0.785
In1 0.750 0.500 0.250
K1 0.677 0.416 0.738
K2 0.323 0.584 0.262
Na2 0.750 0.000 0.750
P2 0.901 0.616 0.715
P3 0.099 0.384 0.285
K3 0.823 0.061 0.238
K4 0.177 0.939 0.762
P4 0.599 0.814 0.215
In2 0.250 0.500 0.750

=====

First-principles (PBE-GGA) data for crystalline KNb4InO12 at its relaxed geometry, as listed in the Materials Project database.

Computed properties:
E (MP2020)   -8.50 eV/atom
V   244 Å³ per cell
ΔE_f   -2.75 eV per atom
Size of the total moment   0.00 μB/f.u.

abc: 5.532 5.532 7.973
angles: 90.00 90.00 90.68
Sites, in units of the cell vectors:
O1 0.208 0.202 0.257
O2 0.208 0.202 0.743
O3 0.711 0.289 0.784
O4 0.711 0.289 0.216
Nb1 0.991 0.514 0.753
O5 0.529 0.087 0.500
O6 0.798 0.792 0.257
O7 0.798 0.792 0.743
O8 0.047 0.535 0.000
O9 0.465 0.953 0.000
O10 0.319 0.681 0.316
Nb2 0.486 0.009 0.753
Nb3 0.486 0.009 0.247
In1 0.522 0.478 0.500
O11 0.319 0.681 0.684
O12 0.913 0.471 0.500
K1 0.979 0.021 0.000
Nb4 0.991 0.514 0.247